Density functional theory data (GGA-PBE) for a relaxed structure of Li2Cu2F7.

Structure (POSCAR):
```
Li2Cu2F7
1.0
1.9598 -12.9213 0.0000
1.9598 12.9213 0.0000
0.0000 0.0000 5.2455
Li Cu F
4 4 14
direct
0.5719 0.4281 0.5492
0.7279 0.2721 0.0241
0.2721 0.7279 0.5241
0.4281 0.5719 0.0492
0.9473 0.0527 0.4764
0.8403 0.1597 0.9582
0.1597 0.8403 0.4582
0.0527 0.9473 0.9764
0.9836 0.0164 0.8028
0.9081 0.0919 0.1507
0.8835 0.1165 0.6600
0.7951 0.2049 0.2419
0.6475 0.3525 0.4676
0.5500 0.4500 0.9320
0.7797 0.2203 0.7472
0.2203 0.7797 0.2472
0.4500 0.5500 0.4320
0.3525 0.6475 0.9676
0.2049 0.7951 0.7419
0.0919 0.9081 0.6507
0.1165 0.8835 0.1600
0.0164 0.9836 0.3028
```

DFT formation energy: -2208.5 meV/atom
ΔE to the lowest computed polymorph: 59.2 meV per atom
ρ: 3.42 g/cm3
Total magnetization: 0.00 μB per formula unit